(1)
## Ba3ZrRu2O9 (PBE)

Data for crystalline Ba3ZrRu2O9 at its relaxed geometry.

```
Ba3ZrRu2O9
1.0
5.880 0.000 0.000
-2.940 5.092 0.000
0.000 0.000 14.486
Ba Zr Ru O
6 2 4 18
Direct
0.000 0.000 0.250
0.000 0.000 0.750
0.333 0.667 0.092
0.333 0.667 0.408
0.667 0.333 0.592
0.667 0.333 0.908
0.000 0.000 0.000
0.000 0.000 0.500
0.333 0.667 0.663
0.333 0.667 0.837
0.667 0.333 0.163
0.667 0.333 0.337
0.022 0.511 0.750
0.170 0.341 0.583
0.170 0.341 0.917
0.170 0.830 0.583
0.170 0.830 0.917
0.341 0.170 0.083
0.341 0.170 0.417
0.489 0.511 0.750
0.489 0.978 0.750
0.511 0.022 0.250
0.511 0.489 0.250
0.659 0.830 0.583
0.659 0.830 0.917
0.830 0.170 0.083
0.830 0.170 0.417
0.830 0.659 0.083
0.830 0.659 0.417
0.978 0.489 0.250
```

Summary:
Symmetry: P6_3/mmc (194)
Energy of formation, eV per atom: -2.679

(2)
## ScH16C3S3O17F9 (PBE)

Data for crystalline ScH16C3S3O17F9 at its relaxed geometry.

```
ScH16C3S3O17F9
1.0
12.724 0.000 0.000
0.000 8.465 0.000
-6.354 0.000 11.144
Sc H C S O F
2 32 6 6 34 18
Direct
0.000 0.000 0.000
0.321 0.500 0.668
0.026 0.171 0.816
0.026 0.829 0.816
0.098 0.406 0.664
0.098 0.594 0.664
0.141 0.289 0.098
0.141 0.711 0.098
0.147 0.337 0.450
0.147 0.663 0.450
0.185 0.171 0.210
0.185 0.829 0.210
0.198 0.219 0.562
0.198 0.781 0.562
0.228 0.093 0.004
0.228 0.907 0.004
0.312 0.336 0.855
0.312 0.664 0.855
0.385 0.223 0.812
0.385 0.777 0.812
0.427 0.235 0.624
0.427 0.765 0.624
0.541 0.347 0.692
0.541 0.653 0.692
0.773 0.094 0.771
0.773 0.906 0.771
0.789 0.171 0.973
0.789 0.829 0.973
0.902 0.289 0.042
0.902 0.711 0.042
0.956 0.290 0.859
0.956 0.710 0.859
0.997 0.094 0.225
0.997 0.906 0.225
0.420 0.500 0.161
0.495 0.000 0.408
0.590 0.000 0.085
0.741 0.500 0.579
0.837 0.500 0.258
0.913 0.000 0.503
0.065 0.000 0.642
0.270 0.500 0.021
0.354 0.000 0.419
0.580 0.000 0.934
0.751 0.500 0.729
0.978 0.500 0.247
0.001 0.189 0.877
0.001 0.811 0.877
0.018 0.000 0.195
0.040 0.354 0.309
0.040 0.646 0.309
0.066 0.146 0.703
0.066 0.854 0.703
0.125 0.187 0.123
0.125 0.813 0.123
0.149 0.500 0.686
0.152 0.000 0.597
0.177 0.000 0.977
0.181 0.500 0.063
0.209 0.324 0.537
0.209 0.676 0.537
0.270 0.354 0.959
0.270 0.646 0.959
0.293 0.146 0.358
0.293 0.854 0.358
0.344 0.326 0.798
0.344 0.674 0.798
0.398 0.000 0.549
0.448 0.000 0.849
0.453 0.338 0.662
0.453 0.662 0.662
0.640 0.146 0.933
0.640 0.854 0.933
0.690 0.355 0.730
0.690 0.645 0.730
0.804 0.000 0.821
0.876 0.188 0.999
0.876 0.812 0.999
0.882 0.500 0.815
0.937 0.500 0.119
0.431 0.370 0.227
0.431 0.630 0.227
0.468 0.000 0.292
0.510 0.500 0.134
0.535 0.130 0.098
0.535 0.870 0.098
0.563 0.129 0.463
0.563 0.871 0.463
0.625 0.500 0.490
0.707 0.000 0.174
0.771 0.370 0.203
0.771 0.630 0.203
0.797 0.370 0.568
0.797 0.630 0.568
0.824 0.000 0.531
0.865 0.500 0.374
0.901 0.130 0.436
0.901 0.870 0.436
```

Summary:
Symmetry: Pm (6)
Energy of formation, eV per atom: -1.653

(3)
## Si3Ir (PBE)

Data for crystalline Si3Ir at its relaxed geometry.

```
Si3Ir
1.0
4.379 0.000 0.000
-2.190 3.793 0.000
0.000 0.000 7.405
Si Ir
6 2
Direct
0.000 0.000 0.250
0.000 0.000 0.750
0.333 0.667 0.085
0.333 0.667 0.415
0.667 0.333 0.585
0.667 0.333 0.915
0.333 0.667 0.750
0.667 0.333 0.250
```

Summary:
Symmetry: P6_3/mmc (194)
Energy of formation, eV per atom: 0.085

(4)
## TmInAu (PBE)

Data for crystalline TmInAu at its relaxed geometry.

```
TmInAu
1.0
7.726 0.000 0.000
-3.863 6.691 0.000
0.000 0.000 3.934
Tm In Au
3 3 3
Direct
0.000 0.595 0.000
0.405 0.405 0.000
0.595 0.000 0.000
0.000 0.261 0.500
0.261 0.000 0.500
0.739 0.739 0.500
0.000 0.000 0.000
0.333 0.667 0.500
0.667 0.333 0.500
```

Summary:
Symmetry: P-62m (189)
Energy of formation, eV per atom: -0.724

(5)
## TiCrCuS4 (PBE)

Data for crystalline TiCrCuS4 at its relaxed geometry.

```
TiCrCuS4
1.0
11.356 0.000 0.000
0.000 3.443 0.000
-0.253 0.000 12.119
Ti Cr Cu S
4 4 4 16
Direct
0.000 0.000 0.000
0.037 0.000 0.630
0.305 0.500 0.399
0.501 0.000 0.910
0.261 0.500 0.773
0.540 0.000 0.277
0.766 0.500 0.139
0.797 0.500 0.506
0.032 0.500 0.275
0.265 0.000 0.137
0.537 0.500 0.633
0.759 0.000 0.776
0.121 0.500 0.089
0.122 0.000 0.827
0.176 0.000 0.323
0.182 0.500 0.581
0.358 0.500 0.952
0.395 0.000 0.726
0.401 0.500 0.222
0.443 0.000 0.454
0.616 0.500 0.821
0.623 0.000 0.090
0.681 0.000 0.592
0.681 0.500 0.324
0.858 0.500 0.955
0.899 0.500 0.684
0.903 0.000 0.183
0.933 0.000 0.456
```

Summary:
Energy above the lowest structure with this stoichiometry, kJ/mol of atoms: 19.5
Symmetry: Pm (6)
Energy of formation, eV per atom: -0.985

(6)
## PrErMg2 (PBE)

Data for crystalline PrErMg2 at its relaxed geometry.

```
PrErMg2
1.0
7.675 0.000 0.000
0.000 7.675 0.000
0.000 0.000 7.675
Pr Er Mg
4 4 8
Direct
0.000 0.000 0.000
0.000 0.500 0.500
0.500 0.000 0.500
0.500 0.500 0.000
0.000 0.000 0.500
0.000 0.500 0.000
0.500 0.000 0.000
0.500 0.500 0.500
0.250 0.250 0.250
0.250 0.250 0.750
0.250 0.750 0.250
0.250 0.750 0.750
0.750 0.250 0.250
0.750 0.250 0.750
0.750 0.750 0.250
0.750 0.750 0.750
```

Summary:
Symmetry: Fm-3m (225)
Energy of formation, eV per atom: -0.091

(7)
## Sr2Bi (PBE)

Data for crystalline Sr2Bi at its relaxed geometry.

```
Sr2Bi
1.0
5.153 0.000 0.000
0.000 5.153 0.000
0.000 0.000 18.156
Sr Bi
8 4
Direct
0.000 0.000 0.177
0.000 0.000 0.823
0.000 0.500 0.000
0.000 0.500 0.500
0.500 0.000 0.000
0.500 0.000 0.500
0.500 0.500 0.323
0.500 0.500 0.677
0.000 0.000 0.364
0.000 0.000 0.636
0.500 0.500 0.136
0.500 0.500 0.864
```

Summary:
Symmetry: I4/mmm (139)
Energy of formation, eV per atom: -0.751

(8)
## Na2SO9 (PBE)

Data for crystalline Na2SO9 at its relaxed geometry.

```
Na2SO9
1.0
8.081 0.000 0.000
0.000 8.081 0.000
0.000 0.000 11.659
Na S O
8 4 36
Direct
0.000 0.160 0.000
0.000 0.840 0.500
0.160 0.000 0.250
0.208 0.500 0.750
0.500 0.208 0.500
0.500 0.792 0.000
0.792 0.500 0.250
0.840 0.000 0.750
0.382 0.500 0.250
0.500 0.382 0.000
0.500 0.618 0.500
0.618 0.500 0.750
0.039 0.247 0.768
0.039 0.753 0.732
0.054 0.484 0.539
0.054 0.516 0.961
0.160 0.167 0.448
0.160 0.833 0.052
0.167 0.160 0.802
0.167 0.840 0.698
0.247 0.039 0.482
0.247 0.961 0.018
0.294 0.346 0.248
0.294 0.654 0.252
0.346 0.294 0.002
0.346 0.706 0.498
0.484 0.054 0.711
0.484 0.946 0.789
0.492 0.492 0.625
0.492 0.508 0.875
0.508 0.492 0.375
0.508 0.508 0.125
0.516 0.054 0.289
0.516 0.946 0.211
0.654 0.294 0.998
0.654 0.706 0.502
0.706 0.346 0.752
0.706 0.654 0.748
0.753 0.039 0.518
0.753 0.961 0.982
0.833 0.160 0.198
0.833 0.840 0.302
0.840 0.167 0.552
0.840 0.833 0.948
0.946 0.484 0.461
0.946 0.516 0.039
0.961 0.247 0.232
0.961 0.753 0.268
```

Summary:
Energy above the lowest structure with this stoichiometry, kJ/mol of atoms: 0.0
Symmetry: P4_322 (95)
Energy of formation, eV per atom: -0.769

(9)
## RbNbS2O9 (PBE)

Data for crystalline RbNbS2O9 at its relaxed geometry.

```
RbNbS2O9
1.0
17.675 0.000 0.000
0.000 5.255 0.000
0.000 0.000 9.080
Rb Nb S O
4 4 8 36
Direct
0.065 0.250 0.171
0.435 0.750 0.671
0.565 0.250 0.329
0.935 0.750 0.829
0.190 0.750 0.579
0.310 0.250 0.079
0.690 0.750 0.921
0.810 0.250 0.421
0.070 0.250 0.631
0.195 0.750 0.977
0.305 0.250 0.477
0.430 0.750 0.131
0.570 0.250 0.869
0.695 0.750 0.523
0.805 0.250 0.023
0.930 0.750 0.369
0.011 0.250 0.743
0.047 0.250 0.479
0.113 0.750 0.979
0.122 0.023 0.663
0.122 0.477 0.663
0.160 0.750 0.398
0.223 0.519 0.064
0.223 0.981 0.064
0.231 0.750 0.832
0.269 0.250 0.332
0.277 0.019 0.564
0.277 0.481 0.564
0.340 0.250 0.898
0.378 0.523 0.163
0.378 0.977 0.163
0.387 0.250 0.479
0.453 0.750 0.979
0.489 0.750 0.243
0.511 0.250 0.757
0.547 0.250 0.021
0.613 0.750 0.521
0.622 0.023 0.837
0.622 0.477 0.837
0.660 0.750 0.102
0.723 0.519 0.436
0.723 0.981 0.436
0.731 0.750 0.668
0.769 0.250 0.168
0.777 0.019 0.936
0.777 0.481 0.936
0.840 0.250 0.602
0.878 0.523 0.337
0.878 0.977 0.337
0.887 0.250 0.021
0.953 0.750 0.521
0.989 0.750 0.257
```

Summary:
Symmetry: Pnma (62)
Energy of formation, eV per atom: -2.269

(10)
## SmSnPd (PBE)

Data for crystalline SmSnPd at its relaxed geometry.

```
SmSnPd
1.0
7.405 0.000 0.000
0.000 4.709 0.000
0.000 0.000 8.020
Sm Sn Pd
4 4 4
Direct
0.010 0.250 0.205
0.490 0.750 0.705
0.510 0.250 0.295
0.990 0.750 0.795
0.192 0.250 0.587
0.308 0.750 0.087
0.692 0.250 0.913
0.808 0.750 0.413
0.203 0.750 0.417
0.297 0.250 0.917
0.703 0.750 0.083
0.797 0.250 0.583
```

Summary:
Symmetry: Pnma (62)
Energy of formation, eV per atom: -0.917

(11)
## Si7PbN10 (PBE)

Data for crystalline Si7PbN10 at its relaxed geometry.

```
Si7PbN10
1.0
6.919 0.000 0.000
0.000 6.775 0.000
-2.650 0.000 9.364
Si Pb N
14 2 20
Direct
0.000 0.025 0.000
0.000 0.975 0.500
0.126 0.371 0.665
0.126 0.629 0.165
0.312 0.375 0.982
0.312 0.625 0.482
0.571 0.398 0.749
0.571 0.602 0.249
0.758 0.381 0.058
0.758 0.619 0.558
0.820 0.025 0.690
0.820 0.975 0.190
0.946 0.371 0.362
0.946 0.629 0.862
0.394 0.057 0.270
0.394 0.943 0.770
0.030 0.135 0.648
0.030 0.865 0.148
0.162 0.423 0.498
0.162 0.577 0.998
0.213 0.155 0.015
0.213 0.845 0.515
0.347 0.382 0.805
0.347 0.618 0.305
0.540 0.421 0.112
0.540 0.579 0.612
0.623 0.166 0.700
0.623 0.834 0.200
0.748 0.499 0.899
0.748 0.501 0.399
0.789 0.132 0.042
0.789 0.868 0.542
0.912 0.117 0.346
0.912 0.883 0.846
0.955 0.465 0.199
0.955 0.535 0.699
```

Summary:
Symmetry: Pc (7)
Energy of formation, eV per atom: -1.124

(12)
## CaCu2As2 (PBE)

Data for crystalline CaCu2As2 at its relaxed geometry.

```
CaCu2As2
1.0
4.105 0.000 0.000
0.000 4.105 0.000
0.000 0.000 10.789
Ca Cu As
2 4 4
Direct
0.000 0.000 0.000
0.500 0.500 0.500
0.000 0.500 0.250
0.000 0.500 0.750
0.500 0.000 0.250
0.500 0.000 0.750
0.000 0.000 0.378
0.000 0.000 0.622
0.500 0.500 0.122
0.500 0.500 0.878
```

Summary:
Symmetry: I4/mmm (139)
Energy of formation, eV per atom: -0.481